1.
This record from the Materials Project describes CsReCl4 after structural relaxation. The functional is GGA-PBE.

crystal system = orthorhombic

a = 10.9682 Å, b = 14.4588 Å, c = 14.3713 Å
α = 90.00°, β = 90.00°, γ = 90.00°
Last column: nearest neighbours and their distance in Å.
Space group Ama2 (No. 40)
Symmetry-distinct sites (fractional):
Cs1 0.0000 0.0000 0.0000  12 Cl 3.56-3.99
Cs2 0.2500 0.0922 0.3903  5 Cl 3.43-3.82
Cs3 0.2500 0.3195 0.1217  7 Cl 3.46-3.82
Re1 0.1371 0.2827 0.7300  4 Cl 2.33-2.43, 2 Re 2.47-2.48
Re2 0.2500 0.1425 0.7774  4 Cl 2.33-2.43, 2 Re 2.47
Cl1 0.0282 0.1443 0.7778  2 Re 2.43
Cl2 0.0709 0.1352 0.1999  1 Re 2.61
Cl3 0.1024 0.2461 0.5745  1 Re 2.33
Cl4 0.1016 0.3502 0.8759  1 Re 2.34
Cl5 0.2500 0.0632 0.6359  1 Re 2.33
Cl6 0.2500 0.1640 0.9383  1 Re 2.33
Cl7 0.2500 0.4200 0.6833  2 Re 2.43
Cl8 0.2500 0.4714 0.3364  1 Re 2.61


2.
This record from the Materials Project describes Li2TlBi after structural relaxation. The functional is GGA-PBE.

crystal system = cubic

a = 7.1833 Å, b = 7.1833 Å, c = 7.1833 Å
α = 90.00°, β = 90.00°, γ = 90.00°
Last column: nearest neighbours and their distance in Å.
Space group Fm-3m (No. 225)
Symmetry-distinct sites (fractional):
Li1 0.2500 0.2500 0.2500  4 Tl 3.11, 4 Bi 3.11
Tl1 0.0000 0.0000 0.0000  8 Li 3.11
Bi1 0.0000 0.0000 0.5000  8 Li 3.11


3.
This record from the Materials Project describes Y3Mg2MoS8 after structural relaxation. The functional is GGA-PBE.

crystal system = trigonal

a = 7.8383 Å, b = 7.8383 Å, c = 18.7414 Å
α = 90.00°, β = 90.00°, γ = 120.00°
Last column: nearest neighbours and their distance in Å.
Space group R-3m (No. 166, hexagonal axes)
Symmetry-distinct sites (fractional):
Y1 0.0000 0.5000 0.0000  6 S 2.70-2.74
Mg1 0.0000 0.0000 0.1253  4 S 2.43-2.52
Mo1 0.0000 0.0000 0.5000  6 S 2.57
S1 0.0000 0.0000 0.2549  1 Mg 2.43, 3 Y 2.70
S2 0.0226 0.5113 0.2453  1 Mg 2.52, 1 Mo 2.57, 2 Y 2.74


4.
This record from the Materials Project describes TbTiFe11C after structural relaxation. The functional is GGA-PBE.

crystal system = orthorhombic

a = 4.8724 Å, b = 8.5486 Å, c = 8.5039 Å
α = 90.00°, β = 90.00°, γ = 90.00°
Last column: nearest neighbours and their distance in Å.
Space group Imm2 (No. 44)
Symmetry-distinct sites (fractional):
Tb1 0.0000 0.0000 0.0000  2 C 2.44
Ti1 0.0000 0.0000 0.3727  1 Fe 2.36
Fe1 0.0000 0.0000 0.6499  1 Ti 2.36, 4 Fe 2.61
Fe2 0.0000 0.2794 0.5090  1 C 1.89
Fe3 0.0000 0.3588 0.0070  7 Fe 2.41-2.65
Fe4 0.0000 0.5000 0.2826  1 C 1.89
Fe5 0.0000 0.5000 0.7293  1 C 1.91
Fe6 0.2494 0.2483 0.7561  9 Fe 2.43-2.63, 1 Ti 2.67
C1 0.0000 0.5000 0.5052  4 Fe 1.89-1.91


5.
This record from the Materials Project describes Cs3TmCl6 after structural relaxation. The functional is GGA-PBE.

crystal system = cubic

a = 11.7789 Å, b = 11.7789 Å, c = 11.7789 Å
α = 90.00°, β = 90.00°, γ = 90.00°
Last column: nearest neighbours and their distance in Å.
Space group Fm-3m (No. 225)
Symmetry-distinct sites (fractional):
Cs1 0.0000 0.0000 0.0000  6 Cl 3.28
Cs2 0.2500 0.2500 0.2500  12 Cl 4.18
Tm1 0.0000 0.0000 0.5000  6 Cl 2.61
Cl1 0.0000 0.0000 0.2788  1 Tm 2.61


6.
This record from the Materials Project describes La21Fe8Sb7C12 after structural relaxation. The functional is GGA-PBE.

crystal system = cubic

a = 16.4599 Å, b = 16.4599 Å, c = 16.4599 Å
α = 90.00°, β = 90.00°, γ = 90.00°
Last column: nearest neighbours and their distance in Å.
Space group Fm-3m (No. 225)
Symmetry-distinct sites (fractional):
La1 0.0000 0.0000 0.0000  12 La 4.01
La2 0.0000 0.1721 0.1721  2 C 2.56
La3 0.1329 0.1329 0.3671  3 C 2.75
Fe1 0.1965 0.1965 0.1965  3 C 1.89
Sb1 0.0000 0.0000 0.2745  8 La 3.30-3.45
Sb2 0.0000 0.0000 0.5000  6 Sb 3.71, 8 La 3.79
C1 0.1101 0.2500 0.2500  2 Fe 1.89


7.
This record from the Materials Project describes Na3TiSi2GePO12 after structural relaxation. The functional is GGA-PBE.

energy relative to the lowest polymorph listed for this composition = 3 meV/atom
crystal system = triclinic

a = 8.7948 Å, b = 8.7956 Å, c = 21.7156 Å
α = 89.97°, β = 89.87°, γ = 60.09°
Last column: nearest neighbours and their distance in Å.
Space group P1 (No. 1)
Symmetry-distinct sites (fractional):
Na1 0.0000 0.0000 0.0000  6 O 2.39-2.54
Na2 0.9999 0.0042 0.4999  6 O 2.40-2.54
Na3 0.0412 0.6653 0.5826  5 O 2.32-2.53
Na4 0.0416 0.2958 0.0828  6 O 2.30-2.56
Na5 0.2986 0.6701 0.0843  6 O 2.32-2.59
Na6 0.3033 0.0360 0.5858  5 O 2.36-2.51
Na7 0.3332 0.3348 0.6681  6 O 2.41-2.51
Na8 0.3365 0.3371 0.1652  6 O 2.39-2.51
Na9 0.3692 0.0008 0.2486  6 O 2.33-2.59
Na10 0.3762 0.6363 0.7501  5 O 2.31-2.57
Na11 0.6363 0.9979 0.7540  5 O 2.34-2.49
Na12 0.6410 0.3635 0.2512  6 O 2.36-2.63
Na13 0.6662 0.6724 0.8346  6 O 2.39-2.49
Na14 0.6691 0.6682 0.3319  6 O 2.39-2.49
Na15 0.7070 0.3336 0.9173  6 O 2.34-2.56
Na16 0.7114 0.9630 0.4152  6 O 2.32-2.60
Na17 0.9666 0.3355 0.4187  5 O 2.35-2.51
Na18 0.9673 0.7033 0.9196  6 O 2.35-2.57
Ti1 0.0016 0.9980 0.1441  5 O 1.90-1.99
Ti2 0.0067 0.0041 0.6480  5 O 1.88-2.00
Ti3 0.0144 0.0037 0.3524  4 O 1.85-2.04
Ti4 0.3463 0.3244 0.5210  5 O 1.83-2.05
Ti5 0.6680 0.6643 0.4774  5 O 1.89-2.00
Ti6 0.6807 0.6702 0.6898  3 O 1.83-1.91
Si1 0.0061 0.2987 0.2480  4 O 1.64-1.66
Si2 0.0126 0.7062 0.7536  4 O 1.64-1.65
Si3 0.2865 0.0103 0.7536  4 O 1.63-1.65
Si4 0.2961 0.7062 0.2465  4 O 1.63-1.66
Si5 0.3390 0.6242 0.9167  4 O 1.65
Si6 0.3413 0.0465 0.4138  4 O 1.62-1.65
Si7 0.6202 0.0478 0.9162  4 O 1.63-1.68
Si8 0.6210 0.3381 0.4118  4 O 1.63-1.65
Si9 0.6677 0.3830 0.0808  4 O 1.64-1.66
Si10 0.6754 0.9568 0.5829  4 O 1.62-1.65
Si11 0.9540 0.6660 0.0797  4 O 1.64-1.68
Si12 0.9568 0.3765 0.5816  4 O 1.63-1.64
Ge1 0.0081 0.9913 0.8562  5 O 1.81-1.99
Ge2 0.3336 0.3421 0.3110  5 O 1.85-1.90
Ge3 0.3388 0.3311 0.8145  5 O 1.85-1.91
Ge4 0.3418 0.3402 0.0196  5 O 1.82-2.00
Ge5 0.6669 0.6744 0.9782  5 O 1.85-1.91
Ge6 0.6764 0.6579 0.1853  6 O 1.83-2.02
P1 0.0558 0.6211 0.4159  4 O 1.54-1.56
P2 0.0572 0.3274 0.9173  4 O 1.54-1.57
P3 0.3883 0.6624 0.5859  4 O 1.53-1.56
P4 0.3936 0.9552 0.0825  4 O 1.54-1.56
P5 0.7181 0.9924 0.2495  4 O 1.54-1.57
P6 0.7217 0.2868 0.7547  4 O 1.53-1.57
O1 0.0311 0.1662 0.9119  1 P 1.55
O2 0.0320 0.8060 0.4096  1 P 1.54
O3 0.0408 0.1693 0.1889  1 Si 1.64
O4 0.0459 0.7960 0.6924  1 Si 1.64
O5 0.1423 0.4985 0.3597  1 P 1.55
O6 0.1442 0.3664 0.8624  1 P 1.54
O7 0.1494 0.3643 0.5809  1 Si 1.64
O8 0.1520 0.4841 0.0768  1 Si 1.68
O9 0.1551 0.5407 0.4765  1 P 1.54
O10 0.1586 0.8163 0.9119  1 Si 1.65
O11 0.1621 0.0330 0.4096  1 Si 1.64
O12 0.1623 0.3003 0.9779  1 P 1.56
O13 0.1783 0.0326 0.6891  1 Si 1.65
O14 0.1816 0.7967 0.1846  1 Si 1.63
O15 0.1876 0.3072 0.2551  1 Si 1.64
O16 0.1900 0.9667 0.8094  1 Si 1.63, 1 Ge 1.81
O17 0.1946 0.5172 0.7598  1 Si 1.64
O18 0.1956 0.8418 0.3038  1 Si 1.64
O19 0.2042 0.8317 0.5858  1 P 1.56
O20 0.2068 0.9754 0.0857  1 P 1.56
O21 0.2895 0.5445 0.9775  1 Si 1.65
O22 0.3028 0.1670 0.4762  1 Si 1.65
O23 0.3111 0.1837 0.7572  1 Si 1.65
O24 0.3220 0.5092 0.2527  1 Si 1.64
O25 0.3604 0.5035 0.5794  1 P 1.54
O26 0.3697 0.1414 0.0763  1 P 1.55
O27 0.3759 0.1385 0.3534  1 Si 1.65
O28 0.3851 0.4924 0.8569  1 Si 1.65
O29 0.4761 0.8314 0.0269  1 P 1.54
O30 0.4825 0.8329 0.7492  1 Si 1.65
O31 0.4828 0.6868 0.5294  1 P 1.55
O32 0.4862 0.6451 0.6461  1 P 1.53
O33 0.4877 0.3701 0.0760  1 Si 1.65
O34 0.4896 0.6970 0.2436  1 Si 1.66
O35 0.4964 0.1486 0.5790  1 Si 1.64
O36 0.4981 0.8764 0.1431  1 P 1.56
O37 0.5100 0.1289 0.8524  1 Si 1.64
O38 0.5101 0.3638 0.3484  1 Si 1.64
O39 0.5165 0.8555 0.4189  1 Si 1.62
O40 0.5194 0.6369 0.9233  1 Si 1.65
O41 0.5198 0.3097 0.4703  1 Si 1.64, 1 Ti 1.83
O42 0.5280 0.1854 0.9731  1 Si 1.63, 1 Ge 1.82
O43 0.5331 0.1618 0.2491  1 P 1.57
O44 0.5374 0.2992 0.7543  1 P 1.57
O45 0.6224 0.5074 0.1430  1 Si 1.66
O46 0.6400 0.8688 0.6445  1 Si 1.65
O47 0.6485 0.8481 0.9213  1 Si 1.65
O48 0.6507 0.5064 0.4174  1 Si 1.63
O49 0.6928 0.4728 0.7485  1 P 1.53
O50 0.6941 0.8304 0.2423  1 P 1.55
O51 0.7003 0.8363 0.5220  1 Si 1.64
O52 0.7100 0.4705 0.0208  1 Si 1.65
O53 0.8151 0.0204 0.1948  1 P 1.55
O54 0.8152 0.1588 0.4114  1 Si 1.65
O55 0.8163 0.1646 0.6992  1 P 1.55
O56 0.8184 0.9723 0.3097  1 P 1.54
O57 0.8192 0.0307 0.9135  1 Si 1.68
O58 0.8238 0.4874 0.2434  1 Si 1.64
O59 0.8253 0.2073 0.8151  1 P 1.55
O60 0.8365 0.6881 0.7468  1 Si 1.64
O61 0.8416 0.6986 0.0163  1 Si 1.64
O62 0.8454 0.1912 0.0879  1 Si 1.64
O63 0.8472 0.4654 0.5182  1 Si 1.64
O64 0.8511 0.5080 0.6391  1 Si 1.64, 1 Ti 1.83
O65 0.8539 0.9659 0.5891  1 Si 1.62
O66 0.8631 0.6233 0.1380  1 Si 1.64, 1 Ge 1.83
O67 0.8694 0.6410 0.4174  1 P 1.56
O68 0.8700 0.4957 0.9186  1 P 1.57
O69 0.9591 0.8374 0.8136  1 Si 1.65
O70 0.9688 0.2079 0.3087  1 Si 1.66
O71 0.9851 0.8344 0.0863  1 Si 1.64
O72 0.9862 0.1791 0.5870  1 Si 1.63


8.
This record from the Materials Project describes La3PBr3 after structural relaxation. The functional is GGA-PBE.

crystal system = cubic

a = 12.0941 Å, b = 12.0941 Å, c = 12.0941 Å
α = 90.00°, β = 90.00°, γ = 90.00°
Last column: nearest neighbours and their distance in Å.
Space group I4_132 (No. 214)
Symmetry-distinct sites (fractional):
La1 0.1129 0.3629 0.1250  2 P 2.88, 4 Br 3.12-3.18
P1 0.1250 0.1250 0.1250  6 La 2.88
Br1 0.1177 0.1323 0.6250  4 La 3.12-3.18


We obtain total DFT energy (no corrections) values of -4.588, -2.893, -6.298, -8.299, -3.946, -7.004, -6.977, -5.346 eV/atom for the records listed above, in that order.
We obtain formation energy values of -9.250, -1.500, -25.662, -1.264, -24.893, -25.140, -55.651, -13.895 eV/f.u. for the records listed above, in that order.